1.
DFT (r2SCAN) results for an optimized crystal structure of BaSnS3. Values from VASP.

The structure in Quantum ESPRESSO input format:
```
&SYSTEM
  ibrav = 0, nat = 20, ntyp = 3
/
ATOMIC_SPECIES
Ba 137.33 Ba.upf
Sn 118.71 Sn.upf
S 32.06 S.upf
ATOMIC_POSITIONS angstrom
Ba 0.659 0.990 2.556
Ba 3.645 2.970 9.905
Ba 4.963 0.990 4.793
Ba 7.950 2.970 12.142
Sn 1.439 2.970 6.520
Sn 2.865 0.990 13.869
Sn 5.744 2.970 0.829
Sn 7.169 0.990 8.178
S 0.237 2.970 8.816
S 1.406 2.970 0.035
S 1.830 0.990 11.643
S 2.474 2.970 4.294
S 2.899 0.990 7.383
S 4.067 0.990 1.467
S 4.541 2.970 13.231
S 5.710 2.970 7.314
S 6.134 0.990 10.404
S 6.779 2.970 3.055
S 7.203 0.990 14.663
S 8.372 0.990 5.882
CELL_PARAMETERS angstrom
8.608 0.000 0.000
0.000 3.960 0.000
0.000 0.000 14.698
```

Results
Energy of formation from the pure elements: -6.40 eV/f.u.
Space group: Pnma
Calculated volume: 501.1 Å³ per cell
Theoretical density: 4.7 g cm⁻³

***

2.
DFT (r2SCAN) results for an optimized crystal structure of Ba3Sn2S7. Values from VASP.

The structure in Quantum ESPRESSO input format:
```
&SYSTEM
  ibrav = 0, nat = 48, ntyp = 3
/
ATOMIC_SPECIES
Ba 137.33 Ba.upf
Sn 118.71 Sn.upf
S 32.06 S.upf
ATOMIC_POSITIONS angstrom
Ba -0.240 1.501 2.024
Ba -1.987 1.928 11.324
Ba -0.192 1.544 15.532
Ba 1.555 1.885 6.231
Ba 2.811 1.599 11.365
Ba 4.559 1.830 2.065
Ba 3.149 5.028 16.536
Ba 4.896 5.259 7.236
Ba 6.152 4.973 12.370
Ba 7.900 5.314 3.069
Ba 9.694 4.930 7.277
Ba 7.947 5.357 16.577
Sn 1.838 4.796 3.642
Sn 0.091 5.491 12.943
Sn 1.533 4.830 9.369
Sn 3.280 5.457 0.069
Sn 4.428 1.401 18.532
Sn 6.175 2.028 9.232
Sn 7.617 1.367 5.658
Sn 5.870 2.062 14.959
S -0.263 3.840 4.288
S -2.010 6.447 13.588
S 1.734 3.974 1.266
S -0.013 6.313 10.566
S -1.413 0.653 18.408
S 0.334 2.776 9.108
S 2.136 0.281 3.594
S 0.389 3.148 12.895
S -0.095 4.670 16.427
S 1.653 5.618 7.127
S 3.661 3.625 4.587
S 1.913 6.662 13.887
S 3.618 4.974 10.424
S 5.366 5.313 1.123
S 2.342 1.545 17.478
S 4.089 1.884 8.177
S 5.794 0.196 4.714
S 4.047 3.233 14.014
S 6.055 1.240 11.474
S 7.802 2.189 2.173
S 7.319 3.710 5.706
S 5.571 6.577 15.007
S 7.374 4.083 9.493
S 9.121 6.205 0.193
S 7.721 0.545 8.034
S 5.974 2.884 17.335
S 9.718 0.411 5.013
S 7.970 3.018 14.313
CELL_PARAMETERS angstrom
11.202 0.000 0.000
0.000 6.858 0.000
-3.495 0.000 18.601
```

Results
Energy of formation from the pure elements: -17.85 eV/f.u.
Space group: P2_1/c
Calculated volume: 1429.0 Å³ per cell
Theoretical density: 4.1 g cm⁻³

***

3.
DFT (r2SCAN) results for an optimized crystal structure of BaTb2S4. Values from VASP.

The structure in Quantum ESPRESSO input format:
```
&SYSTEM
  ibrav = 0, nat = 28, ntyp = 3
/
ATOMIC_SPECIES
Ba 137.33 Ba.upf
Tb 158.93 Tb.upf
S 32.06 S.upf
ATOMIC_POSITIONS angstrom
Ba 2.987 1.016 2.357
Ba 3.170 3.049 9.653
Ba 9.144 1.016 4.940
Ba 9.327 3.049 12.237
Tb 0.838 1.016 5.711
Tb 0.970 1.016 13.105
Tb 5.187 3.049 5.808
Tb 5.320 3.049 13.008
Tb 6.995 1.016 1.585
Tb 7.127 1.016 8.785
Tb 11.345 3.049 1.488
Tb 11.477 3.049 8.882
S 0.277 3.049 11.427
S 0.991 1.016 8.421
S 1.530 3.049 0.336
S 2.553 3.049 4.898
S 3.604 1.016 12.195
S 4.627 1.016 7.632
S 5.166 3.049 1.125
S 5.881 1.016 4.130
S 6.434 3.049 10.463
S 7.148 1.016 13.468
S 7.688 3.049 6.961
S 8.710 3.049 2.398
S 9.761 1.016 9.695
S 10.784 1.016 14.257
S 11.324 3.049 6.172
S 12.038 1.016 3.166
CELL_PARAMETERS angstrom
12.314 0.000 0.000
0.000 4.065 0.000
0.000 0.000 14.593
```

Results
Energy of formation from the pure elements: -17.14 eV/f.u.
Space group: Pnma
Calculated volume: 730.5 Å³ per cell
Theoretical density: 5.3 g cm⁻³

***

4.
DFT (r2SCAN) results for an optimized crystal structure of BaTh2S5. Values from VASP.

The structure in Quantum ESPRESSO input format:
```
&SYSTEM
  ibrav = 0, nat = 32, ntyp = 3
/
ATOMIC_SPECIES
Ba 137.33 Ba.upf
Th 232.04 Th.upf
S 32.06 S.upf
ATOMIC_POSITIONS angstrom
Ba 0.056 0.390 4.046
Ba 0.014 3.457 10.142
Ba 8.575 4.237 2.050
Ba 8.533 7.305 8.146
Th 2.152 4.372 5.996
Th 2.110 7.170 12.092
Th 4.303 3.998 2.179
Th 4.261 7.544 8.274
Th 4.328 0.150 3.917
Th 4.286 3.697 10.013
Th 6.479 0.525 0.100
Th 6.437 3.322 6.195
S 0.301 1.350 0.940
S 0.259 2.498 7.036
S 2.316 5.316 8.719
S 2.358 6.226 2.623
S 2.401 1.274 9.908
S 2.443 2.573 3.812
S 2.437 4.229 12.164
S 2.479 7.313 6.068
S 3.982 1.229 1.237
S 3.941 2.619 7.333
S 4.648 5.076 4.858
S 4.606 6.466 10.954
S 6.110 0.381 6.123
S 6.152 3.466 0.028
S 6.146 5.121 8.379
S 6.188 6.421 2.284
S 6.231 1.469 9.568
S 6.273 2.379 3.473
S 8.330 5.197 5.156
S 8.288 6.345 11.252
CELL_PARAMETERS angstrom
8.673 0.000 0.000
0.000 7.695 0.000
-0.084 0.000 12.192
```

Results
Energy of formation from the pure elements: -18.92 eV/f.u.
Space group: P2_1/c
Calculated volume: 813.6 Å³ per cell
Theoretical density: 6.2 g cm⁻³

***

5.
DFT (r2SCAN) results for an optimized crystal structure of BaTiS3. Values from VASP.

The structure in Quantum ESPRESSO input format:
```
&SYSTEM
  ibrav = 0, nat = 10, ntyp = 3
/
ATOMIC_SPECIES
Ba 137.33 Ba.upf
Ti 47.87 Ti.upf
S 32.06 S.upf
ATOMIC_POSITIONS angstrom
Ba 0.000 3.928 1.464
Ba 3.401 1.964 4.391
Ti 0.000 0.000 0.000
Ti 0.000 0.000 2.927
S 0.000 1.938 4.391
S -1.723 4.922 4.391
S 1.679 0.969 1.464
S 1.723 4.922 4.391
S 5.124 0.969 1.464
S 3.401 3.953 1.464
CELL_PARAMETERS angstrom
6.803 0.000 0.000
-3.401 5.891 0.000
0.000 0.000 5.854
```

Results
Energy of formation from the pure elements: -9.43 eV/f.u.
Space group: P6_3/mmc
Calculated volume: 234.6 Å³ per cell
Theoretical density: 4.0 g cm⁻³

***

6.
DFT (r2SCAN) results for an optimized crystal structure of BaTm2S4. Values from VASP.

The structure in Quantum ESPRESSO input format:
```
&SYSTEM
  ibrav = 0, nat = 28, ntyp = 3
/
ATOMIC_SPECIES
Ba 137.33 Ba.upf
Tm 168.93 Tm.upf
S 32.06 S.upf
ATOMIC_POSITIONS angstrom
Ba 2.960 0.998 2.331
Ba 3.153 2.993 9.518
Ba 9.072 0.998 4.856
Ba 9.265 2.993 12.043
Tm 0.803 0.998 5.625
Tm 0.960 0.998 12.918
Tm 5.152 2.993 5.731
Tm 5.309 2.993 12.812
Tm 6.915 0.998 1.562
Tm 7.072 0.998 8.643
Tm 11.264 2.993 1.456
Tm 11.421 2.993 8.749
S 0.280 2.993 11.257
S 0.983 0.998 8.279
S 1.487 2.993 0.325
S 2.531 2.993 4.906
S 3.581 0.998 12.094
S 4.625 0.998 7.512
S 5.129 2.993 1.092
S 5.832 0.998 4.070
S 6.392 2.993 10.304
S 7.095 0.998 13.283
S 7.599 2.993 6.862
S 8.643 2.993 2.281
S 9.693 0.998 9.468
S 10.737 0.998 14.049
S 11.241 2.993 6.096
S 11.945 0.998 3.117
CELL_PARAMETERS angstrom
12.224 0.000 0.000
0.000 3.991 0.000
0.000 0.000 14.374
```

Results
Energy of formation from the pure elements: -17.11 eV/f.u.
Space group: Pnma
Calculated volume: 701.2 Å³ per cell
Theoretical density: 5.7 g cm⁻³

***

7.
DFT (r2SCAN) results for an optimized crystal structure of Ba2US6. Values from VASP.

The structure in Quantum ESPRESSO input format:
```
&SYSTEM
  ibrav = 0, nat = 18, ntyp = 3
/
ATOMIC_SPECIES
Ba 137.33 Ba.upf
U 238.03 U.upf
S 32.06 S.upf
ATOMIC_POSITIONS angstrom
Ba 1.368 4.103 1.845
Ba 1.368 4.103 6.131
Ba 4.103 1.368 9.822
Ba 4.103 1.368 14.108
U 1.368 4.103 11.965
U 4.103 1.368 3.988
S 0.334 4.103 9.327
S 1.368 1.368 3.640
S 1.368 1.368 11.616
S 1.368 3.069 14.602
S 1.368 5.137 14.602
S 2.402 4.103 9.327
S 3.069 1.368 6.626
S 4.103 0.334 1.351
S 4.103 2.402 1.351
S 4.103 4.103 4.337
S 4.103 4.103 12.313
S 5.137 1.368 6.626
CELL_PARAMETERS angstrom
5.471 0.000 0.000
0.000 5.471 0.000
0.000 0.000 15.953
```

Results
Energy of formation from the pure elements: -15.44 eV/f.u.
Space group: P4_2/nmc
Calculated volume: 477.5 Å³ per cell
Theoretical density: 4.9 g cm⁻³

***

8.
DFT (r2SCAN) results for an optimized crystal structure of BaUS3. Values from VASP.

The structure in Quantum ESPRESSO input format:
```
&SYSTEM
  ibrav = 0, nat = 20, ntyp = 3
/
ATOMIC_SPECIES
Ba 137.33 Ba.upf
U 238.03 U.upf
S 32.06 S.upf
ATOMIC_POSITIONS angstrom
Ba 0.443 2.603 0.124
Ba 3.320 7.810 3.769
Ba 4.206 2.603 3.522
Ba 7.083 7.810 7.167
U 0.000 0.000 3.645
U 0.000 5.207 3.645
U 3.763 0.000 0.000
U 3.763 5.207 0.000
S 0.148 7.810 3.012
S 1.529 5.681 5.780
S 1.529 9.939 5.780
S 2.234 0.475 2.134
S 2.234 4.732 2.134
S 3.615 2.603 6.657
S 3.911 7.810 0.634
S 5.292 5.681 5.156
S 5.292 9.939 5.156
S 5.997 0.475 1.511
S 5.997 4.732 1.511
S 7.378 2.603 4.279
CELL_PARAMETERS angstrom
7.526 0.000 0.000
0.000 10.414 0.000
0.000 0.000 7.291
```

Results
Energy of formation from the pure elements: -10.48 eV/f.u.
Space group: Pnma
Calculated volume: 571.4 Å³ per cell
Theoretical density: 5.5 g cm⁻³

***

9.
DFT (r2SCAN) results for an optimized crystal structure of BaVS3. Values from VASP.

The structure in Quantum ESPRESSO input format:
```
&SYSTEM
  ibrav = 0, nat = 10, ntyp = 3
/
ATOMIC_SPECIES
Ba 137.33 Ba.upf
V 50.94 V.upf
S 32.06 S.upf
ATOMIC_POSITIONS angstrom
Ba 1.431 0.000 1.942
Ba 4.304 3.364 3.885
V -0.003 3.364 0.000
V 2.887 3.364 0.000
S 1.421 3.364 1.890
S 1.417 -1.636 4.882
S 1.412 1.637 4.882
S 4.323 1.727 0.945
S 4.319 5.001 0.945
S 4.315 0.000 3.937
CELL_PARAMETERS angstrom
5.779 0.000 0.000
-0.006 6.728 0.000
-0.037 -3.364 5.827
```

Results
Energy of formation from the pure elements: -7.89 eV/f.u.
Space group: P-1
Calculated volume: 226.6 Å³ per cell
Theoretical density: 4.2 g cm⁻³

***

10.
DFT (r2SCAN) results for an optimized crystal structure of BaVS3. Values from VASP.

The structure in Quantum ESPRESSO input format:
```
&SYSTEM
  ibrav = 0, nat = 20, ntyp = 3
/
ATOMIC_SPECIES
Ba 137.33 Ba.upf
V 50.94 V.upf
S 32.06 S.upf
ATOMIC_POSITIONS angstrom
Ba 3.642 4.510 8.871
Ba 7.008 7.997 9.665
Ba 2.166 0.327 3.615
Ba 5.531 3.816 4.412
V 8.467 6.793 6.230
V 1.666 4.032 4.809
V 6.882 2.648 9.949
V 3.143 8.215 10.065
S 5.183 0.538 5.228
S 2.480 3.503 2.889
S 6.661 4.720 10.481
S 3.957 7.688 8.146
S 4.315 6.742 2.630
S 7.677 6.757 4.035
S 6.458 5.759 6.905
S 3.096 5.742 5.502
S 2.732 2.598 6.349
S 6.092 2.614 7.753
S 4.874 1.614 10.625
S 1.510 1.598 9.221
CELL_PARAMETERS angstrom
6.278 0.011 2.640
3.061 8.326 1.537
-0.106 0.040 8.973
```

Results
Energy of formation from the pure elements: -8.03 eV/f.u.
Calculated volume: 471.0 Å³ per cell
Theoretical density: 4.0 g cm⁻³

***

11.
DFT (r2SCAN) results for an optimized crystal structure of BaV10S16. Values from VASP.

The structure in Quantum ESPRESSO input format:
```
&SYSTEM
  ibrav = 0, nat = 27, ntyp = 3
/
ATOMIC_SPECIES
Ba 137.33 Ba.upf
V 50.94 V.upf
S 32.06 S.upf
ATOMIC_POSITIONS angstrom
Ba 0.000 0.000 0.000
V -1.653 -1.085 4.160
V -3.380 1.896 7.023
V -1.746 5.079 4.296
V -0.088 1.686 4.013
V 1.718 4.899 1.266
V 1.732 -1.085 4.160
V -0.006 1.852 7.054
V 1.800 5.064 4.308
V 3.458 1.671 4.024
V 5.092 4.855 1.297
S -3.358 5.948 5.723
S -1.721 6.866 2.758
S -0.013 5.988 0.019
S -1.699 2.851 5.456
S 0.002 3.927 2.880
S 1.654 2.956 0.007
S 0.029 -0.125 5.548
S 1.699 0.848 2.684
S 0.013 5.902 5.636
S 1.683 6.876 2.772
S 0.058 3.795 8.314
S 1.710 2.824 5.441
S 3.411 3.900 2.864
S 1.725 0.762 8.301
S 3.432 -0.115 5.563
S 5.070 0.802 2.597
CELL_PARAMETERS angstrom
6.768 0.000 0.000
-1.751 8.920 0.000
-3.305 -2.170 8.320
```

Results
Energy of formation from the pure elements: -34.89 eV/f.u.
Space group: P-1
Calculated volume: 502.3 Å³ per cell
Theoretical density: 3.8 g cm⁻³

***

12.
DFT (r2SCAN) results for an optimized crystal structure of BaVS3. Values from VASP.

The structure in Quantum ESPRESSO input format:
```
&SYSTEM
  ibrav = 0, nat = 10, ntyp = 3
/
ATOMIC_SPECIES
Ba 137.33 Ba.upf
V 50.94 V.upf
S 32.06 S.upf
ATOMIC_POSITIONS angstrom
Ba 3.358 3.895 4.266
Ba 3.358 -3.895 1.422
V 3.099 0.000 2.844
V 3.616 0.000 0.000
S 1.702 0.963 4.317
S 1.702 -0.963 1.371
S 3.358 1.911 1.422
S 3.358 -1.911 4.266
S 5.014 0.963 4.215
S 5.014 -0.963 1.473
CELL_PARAMETERS angstrom
3.358 -5.909 0.000
3.358 5.909 0.000
0.000 0.000 5.688
```

Results
Energy of formation from the pure elements: -7.93 eV/f.u.
Space group: C222_1
Calculated volume: 225.7 Å³ per cell
Theoretical density: 4.2 g cm⁻³

***

13.
DFT (r2SCAN) results for an optimized crystal structure of Ba2ZnS3. Values from VASP.

The structure in Quantum ESPRESSO input format:
```
&SYSTEM
  ibrav = 0, nat = 24, ntyp = 3
/
ATOMIC_SPECIES
Ba 137.33 Ba.upf
Zn 65.41 Zn.upf
S 32.06 S.upf
ATOMIC_POSITIONS angstrom
Ba 0.133 1.059 2.214
Ba 2.108 1.059 6.582
Ba 3.965 3.178 0.232
Ba 5.939 3.178 8.564
Ba 6.206 1.059 4.135
Ba 8.181 1.059 12.466
Ba 10.037 3.178 6.117
Ba 12.012 3.178 10.484
Zn 2.969 3.178 3.858
Zn 3.104 1.059 10.207
Zn 9.041 3.178 2.492
Zn 9.177 1.059 8.841
S 0.743 3.178 4.570
S 1.651 1.059 12.009
S 2.733 3.178 9.012
S 3.340 1.059 2.663
S 4.421 3.178 5.660
S 5.330 1.059 10.920
S 6.816 3.178 1.779
S 7.724 1.059 7.039
S 8.806 3.178 10.036
S 9.412 1.059 3.686
S 10.494 3.178 0.690
S 11.402 1.059 8.129
CELL_PARAMETERS angstrom
12.145 0.000 0.000
0.000 4.238 0.000
0.000 0.000 12.699
```

Results
Energy above the lowest structure with this stoichiometry: 0.0 meV per atom
Energy of formation from the pure elements: -11.34 eV/f.u.
Space group: Pnma
Calculated volume: 653.6 Å³ per cell
Theoretical density: 4.4 g cm⁻³

***

14.
DFT (r2SCAN) results for an optimized crystal structure of Ba2ZnS3. Values from VASP.

The structure in Quantum ESPRESSO input format:
```
&SYSTEM
  ibrav = 0, nat = 24, ntyp = 3
/
ATOMIC_SPECIES
Ba 137.33 Ba.upf
Zn 65.41 Zn.upf
S 32.06 S.upf
ATOMIC_POSITIONS angstrom
Ba 0.723 1.070 3.660
Ba 2.203 1.070 16.413
Ba 2.236 3.211 7.826
Ba 3.716 3.211 12.247
Ba 5.163 1.070 4.927
Ba 6.642 1.070 9.348
Ba 6.675 3.211 0.761
Ba 8.155 3.211 13.514
Zn 1.205 1.070 10.908
Zn 3.234 3.211 2.321
Zn 5.644 1.070 14.853
Zn 7.673 3.211 6.266
S 0.084 3.211 10.341
S 1.162 3.211 1.237
S 1.596 1.070 13.229
S 2.843 3.211 4.642
S 3.277 1.070 9.824
S 4.355 1.070 1.755
S 4.523 3.211 15.419
S 5.601 3.211 7.350
S 6.035 1.070 12.532
S 7.282 3.211 3.945
S 7.716 1.070 15.936
S 8.794 1.070 6.832
CELL_PARAMETERS angstrom
8.878 0.000 0.000
0.000 4.281 0.000
0.000 0.000 17.174
```

Results
Energy above the lowest structure with this stoichiometry: 3.6 meV per atom
Energy of formation from the pure elements: -11.32 eV/f.u.
Space group: Pnma
Calculated volume: 652.7 Å³ per cell
Theoretical density: 4.4 g cm⁻³